# 1
TiS2O8 | PBE | relaxed

- formation energy (eV per atom) = -2.21
- offset from the most stable computed form (meV/atom) = 5
- energy (eV per cell) = -671.1

Structure (CIF):
```
data_TiS2O8
_chemical_formula_sum 'Ti9 S18 O72'
_symmetry_space_group_name_H-M 'R 3'
_symmetry_Int_Tables_number 146
_symmetry_space_group_name_Hall 'R 3'
_cell_length_a 8.3584
_cell_length_b 8.3584
_cell_length_c 22.3837
_cell_angle_alpha 90.00
_cell_angle_beta 90.00
_cell_angle_gamma 120.00
loop_
_atom_site_label
_atom_site_fract_x
_atom_site_fract_y
_atom_site_fract_z
Ti1 0.0000 0.0000 0.0000
Ti2 0.0000 0.0000 0.2064
Ti3 0.0000 0.0000 0.7034
S1 0.0031 0.2956 0.0997
S2 0.0506 0.6704 0.2662
O1 0.0226 0.8105 0.5449
O2 0.0336 0.2116 0.4384
O3 0.0685 0.2149 0.0516
O4 0.0877 0.2264 0.7504
O5 0.1470 0.4637 0.8227
O6 0.1571 0.6814 0.9281
O7 0.1748 0.7260 0.6201
O8 0.1874 0.7398 0.3172
```



# 2
SiO2 | PBE | relaxed

- formation energy (eV per atom) = -3.10
- energy (eV per cell) = -371.9

Structure (CIF):
```
data_SiO2
_chemical_formula_sum 'Si16 O32'
_symmetry_space_group_name_H-M 'I 41 2 2'
_symmetry_Int_Tables_number 98
_symmetry_space_group_name_Hall 'I 4bw 2bw'
_cell_length_a 5.814
_cell_length_b 5.814
_cell_length_c 22.699
_cell_angle_alpha 90.00
_cell_angle_beta 90.00
_cell_angle_gamma 90.00
loop_
_atom_site_label
_atom_site_fract_x
_atom_site_fract_y
_atom_site_fract_z
Si1 0.127 0.749 0.438
O1 0.000 0.000 0.185
O2 0.000 0.000 0.442
O3 0.226 0.726 0.250
O4 0.235 0.750 0.625
```



# 3
V2CoS4 | PBE | relaxed

- formation energy (eV per atom) = -1.10
- energy (eV per cell) = -95.0

Structure (CIF):
```
data_V2CoS4
_chemical_formula_sum 'V4 Co2 S8'
_symmetry_space_group_name_H-M 'C 1 2/m 1'
_symmetry_Int_Tables_number 12
_cell_length_a 11.936
_cell_length_b 3.221
_cell_length_c 5.775
_cell_angle_alpha 90.00
_cell_angle_beta 116.00
_cell_angle_gamma 90.00
loop_
_symmetry_equiv_pos_as_xyz
'x,y,z'
'-x,-y,-z'
'-x,y,-z'
'x,-y,z'
'x+1/2,y+1/2,z'
'-x+1/2,-y+1/2,-z'
'-x+1/2,y+1/2,-z'
'x+1/2,-y+1/2,z'
loop_
_atom_site_label
_atom_site_fract_x
_atom_site_fract_y
_atom_site_fract_z
V1 0.241 0.000 0.189
Co1 0.000 0.500 0.500
S1 0.104 0.500 0.941
S2 0.135 0.000 0.477
```



# 4
BaTbEuSbO6 | PBE | relaxed

- formation energy (eV per atom) = -3.05
- offset from the most stable computed form (meV/atom) = 0
- energy (eV per cell) = -154.1

Structure (CIF):
```
data_BaTbEuSbO6
_chemical_formula_sum 'Ba2 Tb2 Eu2 Sb2 O12'
_symmetry_space_group_name_H-M 'P -1'
_symmetry_Int_Tables_number 2
_cell_length_a 5.968
_cell_length_b 5.992
_cell_length_c 8.453
_cell_angle_alpha 90.21
_cell_angle_beta 90.20
_cell_angle_gamma 90.22
loop_
_symmetry_equiv_pos_as_xyz
'x,y,z'
'-x,-y,-z'
loop_
_atom_site_label
_atom_site_fract_x
_atom_site_fract_y
_atom_site_fract_z
Ba1 0.005 0.019 0.250
Tb1 0.000 0.500 0.500
Tb2 0.500 0.000 0.000
Eu1 0.495 0.529 0.251
Sb1 0.000 0.500 0.000
Sb2 0.500 0.000 0.500
O1 0.074 0.503 0.765
O2 0.210 0.761 0.032
O3 0.240 0.788 0.471
O4 0.267 0.296 0.037
O5 0.299 0.270 0.465
O6 0.448 0.023 0.736
```



# 5
BNF8 | PBE | relaxed

- maximum piezoelectric response (C/m2) = 0.326
- formation energy (eV per atom) = -1.75
- energy (eV per cell) = -176.6

Structure (CIF):
```
data_BNF8
_chemical_formula_sum 'B4 N4 F32'
_symmetry_space_group_name_H-M 'P -4 21 m'
_symmetry_Int_Tables_number 113
_cell_length_a 9.993
_cell_length_b 9.993
_cell_length_c 5.282
_cell_angle_alpha 90.00
_cell_angle_beta 90.00
_cell_angle_gamma 90.00
loop_
_symmetry_equiv_pos_as_xyz
'x,y,z'
'y,-x,-z'
'-x,-y,z'
'-y,x,-z'
'x+1/2,-y+1/2,-z'
'y+1/2,x+1/2,z'
'-x+1/2,y+1/2,-z'
'-y+1/2,-x+1/2,z'
loop_
_atom_site_label
_atom_site_fract_x
_atom_site_fract_y
_atom_site_fract_z
B1 0.244 0.256 0.099
N1 0.000 0.000 0.500
N2 0.000 0.500 0.463
F1 0.058 0.093 0.647
F2 0.077 0.577 0.316
F3 0.078 0.422 0.609
F4 0.115 0.221 0.189
F5 0.161 0.661 0.816
F6 0.242 0.258 0.829
```



# 6
CsRe2OsSe4Cl3 | PBE | relaxed

- formation energy (eV per atom) = -0.96
- energy (eV per cell) = -522.1

Structure (CIF):
```
data_CsRe2OsSe4Cl3
_chemical_formula_sum 'Cs8 Re16 Os8 Se32 Cl24'
_symmetry_space_group_name_H-M 'C 1 c 1'
_symmetry_Int_Tables_number 9
_cell_length_a 10.514
_cell_length_b 18.232
_cell_length_c 15.574
_cell_angle_alpha 90.00
_cell_angle_beta 90.41
_cell_angle_gamma 90.00
loop_
_symmetry_equiv_pos_as_xyz
'x,y,z'
'x,-y,z+1/2'
'x+1/2,y+1/2,z'
'x+1/2,-y+1/2,z+1/2'
loop_
_atom_site_label
_atom_site_fract_x
_atom_site_fract_y
_atom_site_fract_z
Cs1 0.000 0.000 0.000
Cs2 0.498 0.167 0.250
Re1 0.072 0.261 0.181
Re2 0.144 0.333 0.319
Re3 0.354 0.167 0.681
Re4 0.428 0.094 0.819
Os1 0.072 0.407 0.180
Os2 0.426 0.240 0.820
Se1 0.135 0.194 0.319
Se2 0.140 0.472 0.315
Se3 0.223 0.167 0.818
Se4 0.276 0.335 0.182
Se5 0.361 0.306 0.685
Se6 0.362 0.028 0.681
Se7 0.499 0.166 0.551
Se8 0.499 0.168 0.949
Cl1 0.162 0.498 0.592
Cl2 0.164 0.169 0.594
Cl3 0.170 0.168 0.095
Cl4 0.328 0.333 0.907
Cl5 0.334 0.330 0.407
Cl6 0.336 0.001 0.405
```



# 7
Cs2YHgI6 | PBE | relaxed

- formation energy (eV per atom) = -1.41
- energy (eV per cell) = -118.0

Structure (CIF):
```
data_Cs2YHgI6
_chemical_formula_sum 'Cs8 Y4 Hg4 I24'
_symmetry_space_group_name_H-M 'F m -3 m'
_symmetry_Int_Tables_number 225
_symmetry_space_group_name_Hall '-F 4 2 3'
_cell_length_a 12.546
_cell_length_b 12.546
_cell_length_c 12.546
_cell_angle_alpha 90.00
_cell_angle_beta 90.00
_cell_angle_gamma 90.00
loop_
_atom_site_label
_atom_site_fract_x
_atom_site_fract_y
_atom_site_fract_z
Cs1 0.250 0.250 0.250
Y1 0.000 0.000 0.000
Hg1 0.000 0.000 0.500
I1 0.000 0.000 0.242
```



# 8
LiZnGe | PBE | relaxed

- formation energy (eV per atom) = -0.25
- energy (eV per cell) = -25.6

Structure (CIF):
```
data_LiZnGe
_chemical_formula_sum 'Li3 Zn3 Ge3'
_symmetry_space_group_name_H-M 'P 3 m 1'
_symmetry_Int_Tables_number 156
_cell_length_a 4.2876
_cell_length_b 4.2876
_cell_length_c 9.4409
_cell_angle_alpha 90.00
_cell_angle_beta 90.00
_cell_angle_gamma 120.00
loop_
_symmetry_equiv_pos_as_xyz
'x,y,z'
'-y,x-y,z'
'-x+y,-x,z'
'-y,-x,z'
'-x+y,y,z'
'x,x-y,z'
loop_
_atom_site_label
_atom_site_fract_x
_atom_site_fract_y
_atom_site_fract_z
Li1 0.0000 0.0000 0.0000
Li2 0.0000 0.0000 0.3321
Li3 0.0000 0.0000 0.6644
Zn1 0.3333 0.6667 0.1260
Zn2 0.3333 0.6667 0.5384
Zn3 0.6667 0.3333 0.8511
Ge1 0.3333 0.6667 0.8309
Ge2 0.6667 0.3333 0.1965
Ge3 0.6667 0.3333 0.4679
```